Density functional theory data (PBE-GGA) for crystalline Na9Ca4Nb2P9O36 at its relaxed geometry.

a b c (Å): 9.288 22.553 24.477
angles (deg): 89.92 79.15 89.93
Space group P1 (No. 1)
Unique sites:
Na 0.000 0.000 0.000
Na 0.002 0.928 0.351
Na 0.016 0.585 0.329
Na 0.016 0.754 0.677
Na 0.089 0.575 0.126
Na 0.093 0.269 0.128
Na 0.094 0.333 0.790
Na 0.100 0.757 0.460
Na 0.104 0.828 0.793
Na 0.118 0.916 0.107
Na 0.189 0.095 0.241
Na 0.204 0.183 0.555
Na 0.208 0.254 0.890
Na 0.214 0.743 0.220
Na 0.219 0.437 0.222
Na 0.231 0.677 0.566
Na 0.291 0.256 0.673
Na 0.291 0.427 0.019
Na 0.305 0.084 0.997
Na 0.307 0.012 0.348
Na 0.317 0.518 0.350
Na 0.417 0.746 0.784
Na 0.439 0.345 0.120
Na 0.449 0.831 0.112
Na 0.464 0.918 0.439
Na 0.477 0.087 0.789
Na 0.493 0.917 0.233
Na 0.515 0.666 0.900
Na 0.523 0.763 0.567
Na 0.541 0.096 0.577
Na 0.541 0.594 0.239
Na 0.553 0.172 0.902
Na 0.578 0.424 0.559
Na 0.630 0.094 0.328
Na 0.635 0.503 0.679
Na 0.647 0.430 0.348
Na 0.652 0.006 0.675
Na 0.659 0.581 0.000
Na 0.676 0.918 0.020
Na 0.728 0.586 0.788
Na 0.754 0.841 0.446
Na 0.766 0.418 0.109
Na 0.766 0.915 0.772
Na 0.784 0.248 0.783
Na 0.790 0.344 0.447
Na 0.814 0.095 0.115
Na 0.830 0.926 0.560
Na 0.842 0.094 0.909
Na 0.858 0.181 0.236
Na 0.865 0.594 0.579
Na 0.868 0.666 0.227
Na 0.889 0.265 0.565
Na 0.969 0.409 0.683
Na 0.991 0.493 0.998
Ca 0.098 0.685 0.783
Ca 0.101 0.186 0.780
Ca 0.204 0.826 0.568
Ca 0.212 0.324 0.563
Ca 0.310 0.159 0.344
Ca 0.319 0.850 0.348
Ca 0.329 0.663 0.339
Ca 0.431 0.983 0.119
Ca 0.434 0.495 0.113
Ca 0.438 0.690 0.118
Ca 0.538 0.021 0.901
Ca 0.539 0.520 0.897
Ca 0.635 0.654 0.679
Ca 0.637 0.858 0.669
Ca 0.654 0.357 0.673
Ca 0.668 0.154 0.681
Ca 0.768 0.991 0.447
Ca 0.771 0.490 0.449
Ca 0.869 0.321 0.230
Ca 0.873 0.516 0.235
Ca 0.875 0.028 0.230
Ca 0.978 0.349 0.010
Ca 0.987 0.162 0.000
Ca 0.997 0.852 0.004
Nb 0.097 0.986 0.787
Nb 0.106 0.490 0.793
Nb 0.208 0.523 0.557
Nb 0.210 0.026 0.561
Nb 0.314 0.350 0.343
Nb 0.438 0.190 0.121
Nb 0.539 0.822 0.898
Nb 0.553 0.328 0.895
Nb 0.753 0.685 0.452
Nb 0.767 0.190 0.451
Nb 0.869 0.822 0.227
Nb 0.993 0.662 0.006
P 0.000 0.583 0.686
P 0.000 0.756 0.342
P 0.008 0.928 0.663
P 0.061 0.592 0.455
P 0.078 0.760 0.111
P 0.080 0.422 0.125
P 0.103 0.252 0.441
P 0.113 0.923 0.464
P 0.139 0.093 0.117
P 0.168 0.919 0.231
P 0.193 0.089 0.885
P 0.203 0.759 0.907
P 0.227 0.590 0.224
P 0.229 0.251 0.238
P 0.247 0.420 0.894
P 0.298 0.084 0.685
P 0.305 0.428 0.662
P 0.308 0.256 0.006
P 0.320 0.591 0.016
P 0.337 0.756 0.675
P 0.349 0.922 0.999
P 0.403 0.590 0.785
P 0.406 0.422 0.460
P 0.427 0.759 0.448
P 0.431 0.923 0.800
P 0.451 0.254 0.779
P 0.467 0.085 0.455
P 0.509 0.925 0.561
P 0.525 0.760 0.236
P 0.527 0.086 0.218
P 0.555 0.584 0.551
P 0.556 0.250 0.573
P 0.559 0.423 0.234
P 0.616 0.250 0.346
P 0.629 0.088 0.021
P 0.639 0.426 0.999
P 0.668 0.586 0.349
P 0.677 0.923 0.327
P 0.691 0.761 0.002
P 0.748 0.588 0.114
P 0.752 0.762 0.776
P 0.758 0.428 0.797
P 0.780 0.925 0.130
P 0.782 0.251 0.112
P 0.798 0.086 0.787
P 0.839 0.927 0.894
P 0.856 0.752 0.569
P 0.876 0.088 0.549
P 0.879 0.253 0.901
P 0.902 0.590 0.888
P 0.907 0.424 0.564
P 0.957 0.090 0.349
P 0.968 0.260 0.674
P 0.987 0.420 0.332
O 0.004 0.482 0.305
O 0.011 0.476 0.159
O 0.022 0.364 0.154
O 0.024 0.755 0.558
O 0.025 0.099 0.171
O 0.029 0.710 0.071
O 0.030 0.538 0.732
O 0.031 0.477 0.555
O 0.040 0.426 0.066
O 0.043 0.262 0.725
O 0.043 0.645 0.702
O 0.043 0.940 0.723
O 0.044 0.085 0.555
O 0.057 0.588 0.229
O 0.057 0.864 0.231
O 0.062 0.820 0.084
O 0.065 0.866 0.646
O 0.071 0.098 0.065
O 0.074 0.810 0.363
O 0.077 0.262 0.226
O 0.080 0.977 0.235
O 0.085 0.079 0.940
O 0.089 0.253 0.621
O 0.090 0.975 0.620
O 0.093 0.568 0.626
O 0.107 0.704 0.324
O 0.116 0.265 0.501
O 0.124 0.094 0.338
O 0.124 0.408 0.944
O 0.124 0.590 0.512
O 0.131 0.708 0.948
O 0.138 0.817 0.929
O 0.140 0.865 0.492
O 0.146 0.977 0.504
O 0.152 0.403 0.338
O 0.156 0.609 0.010
O 0.160 0.035 0.844
O 0.165 0.147 0.856
O 0.169 0.194 0.420
O 0.176 0.304 0.401
O 0.180 0.425 0.838
O 0.182 0.603 0.405
O 0.183 0.918 0.010
O 0.189 0.747 0.847
O 0.200 0.307 0.024
O 0.214 0.446 0.721
O 0.216 0.037 0.728
O 0.218 0.758 0.729
O 0.221 0.933 0.409
O 0.226 0.035 0.114
O 0.230 0.749 0.122
O 0.234 0.201 0.986
O 0.236 0.913 0.284
O 0.241 0.146 0.702
O 0.245 0.192 0.265
O 0.246 0.368 0.648
O 0.250 0.147 0.118
O 0.250 0.423 0.120
O 0.259 0.753 0.624
O 0.263 0.072 0.625
O 0.263 0.927 0.793
O 0.267 0.585 0.283
O 0.271 0.473 0.615
O 0.274 0.539 0.793
O 0.278 0.301 0.278
O 0.282 0.255 0.792
O 0.282 0.913 0.177
O 0.285 0.648 0.195
O 0.297 0.536 0.189
O 0.301 0.530 0.045
O 0.324 0.480 0.492
O 0.324 0.648 0.781
O 0.328 0.476 0.902
O 0.336 0.255 0.178
O 0.344 0.755 0.508
O 0.348 0.088 0.512
O 0.353 0.086 0.892
O 0.353 0.415 0.403
O 0.359 0.366 0.886
O 0.361 0.715 0.413
O 0.366 0.370 0.499
O 0.369 0.637 0.054
O 0.376 0.759 0.907
O 0.382 0.584 0.554
O 0.384 0.242 0.057
O 0.391 0.977 0.557
O 0.396 0.983 0.975
O 0.397 0.095 0.405
O 0.397 0.253 0.564
O 0.412 0.908 0.052
O 0.420 0.592 0.959
O 0.425 0.867 0.564
O 0.428 0.872 0.955
O 0.432 0.275 0.955
O 0.432 0.812 0.674
O 0.436 0.821 0.422
O 0.437 0.089 0.278
O 0.438 0.405 0.288
O 0.438 0.702 0.671
O 0.447 0.811 0.271
O 0.447 0.868 0.838
O 0.463 0.077 0.682
O 0.470 0.138 0.182
O 0.470 0.431 0.660
O 0.473 0.980 0.826
O 0.479 0.428 0.185
O 0.480 0.589 0.836
O 0.484 0.763 0.179
O 0.493 0.028 0.192
O 0.494 0.302 0.354
O 0.497 0.700 0.265
O 0.502 0.270 0.837
O 0.510 0.301 0.736
O 0.510 0.594 0.341
O 0.510 0.917 0.336
O 0.514 0.574 0.733
O 0.520 0.193 0.764
O 0.528 0.412 0.052
O 0.530 0.916 0.743
O 0.541 0.025 0.451
O 0.542 0.192 0.339
O 0.555 0.138 0.065
O 0.564 0.748 0.048
O 0.571 0.100 0.967
O 0.572 0.197 0.610
O 0.572 0.430 0.447
O 0.582 0.938 0.611
O 0.584 0.028 0.048
O 0.587 0.134 0.461
O 0.594 0.742 0.451
O 0.598 0.594 0.607
O 0.601 0.380 0.952
O 0.608 0.241 0.120
O 0.613 0.487 0.976
O 0.615 0.308 0.593
O 0.616 0.913 0.133
O 0.620 0.526 0.525
O 0.621 0.638 0.511
O 0.622 0.483 0.251
O 0.626 0.924 0.507
O 0.632 0.636 0.125
O 0.632 0.766 0.945
O 0.643 0.774 0.834
O 0.665 0.238 0.514
O 0.674 0.375 0.223
O 0.675 0.246 0.404
O 0.681 0.087 0.841
O 0.685 0.375 0.836
O 0.685 0.529 0.097
O 0.691 0.099 0.215
O 0.691 0.704 0.756
O 0.694 0.525 0.372
O 0.697 0.486 0.821
O 0.698 0.771 0.228
O 0.706 0.633 0.395
O 0.713 0.270 0.896
O 0.720 0.878 0.887
O 0.723 0.983 0.300
O 0.726 0.073 0.737
O 0.730 0.417 0.738
O 0.736 0.582 0.900
O 0.736 0.815 0.738
O 0.736 0.912 0.381
O 0.743 0.264 0.301
O 0.752 0.873 0.284
O 0.765 0.820 0.010
O 0.765 0.987 0.898
O 0.778 0.097 0.606
O 0.778 0.810 0.591
O 0.779 0.599 0.295
O 0.797 0.094 0.013
O 0.797 0.417 0.007
O 0.804 0.439 0.619
O 0.804 0.698 0.607
O 0.807 0.742 0.510
O 0.810 0.312 0.084
O 0.813 0.710 0.994
O 0.813 0.984 0.157
O 0.823 0.249 0.170
O 0.823 0.423 0.516
O 0.828 0.584 0.164
O 0.833 0.032 0.523
O 0.837 0.577 0.681
O 0.837 0.873 0.167
O 0.843 0.935 0.666
O 0.858 0.209 0.676
O 0.859 0.143 0.510
O 0.859 0.200 0.077
O 0.868 0.191 0.926
O 0.868 0.607 0.060
O 0.869 0.923 0.071
O 0.875 0.737 0.392
O 0.879 0.139 0.393
O 0.881 0.145 0.783
O 0.881 0.319 0.673
O 0.889 0.418 0.390
O 0.894 0.103 0.297
O 0.910 0.758 0.785
O 0.910 0.917 0.944
O 0.911 0.029 0.374
O 0.917 0.034 0.791
O 0.924 0.769 0.291
O 0.931 0.253 0.441
O 0.931 0.426 0.794
O 0.938 0.375 0.294
O 0.943 0.642 0.849
O 0.945 0.297 0.936
O 0.946 0.645 0.464
O 0.953 0.926 0.457
O 0.954 0.597 0.946
O 0.959 0.924 0.837
O 0.964 0.256 0.840
O 0.971 0.757 0.170
O 0.979 0.535 0.450
O 0.985 0.532 0.856
O 0.992 0.367 0.567

Computed properties:
Excess energy over the best structure of this formula in the dataset (meV/atom): 0.0
V (Å³ per cell): 5035.6
Total magnetic moment (μB/f.u.): 0.0
Formation enthalpy at 0 K (eV per atom): -2.86

=====

Density functional theory data (PBE-GGA) for crystalline Na3Ca2Nb4P9O36 at its relaxed geometry.

a b c (Å): 8.9129 8.9129 23.1621
angles (deg): 90.00 90.00 120.00
Space group P3c1 (No. 158)
Unique sites:
Na 0.0000 0.0000 0.0000
Na 0.3333 0.6667 0.1546
Na 0.6667 0.3333 0.3280
Ca 0.3333 0.6667 0.0135
Ca 0.6667 0.3333 0.1911
Nb 0.0000 0.0000 0.1424
Nb 0.0000 0.0000 0.3518
Nb 0.3333 0.6667 0.3121
Nb 0.6667 0.3333 0.4824
P 0.0094 0.2886 0.2505
P 0.0354 0.3723 0.9140
P 0.3730 0.0427 0.5846
O 0.0021 0.1784 0.3030
O 0.0034 0.1861 0.8995
O 0.0319 0.2004 0.1951
O 0.1339 0.4945 0.8611
O 0.1379 0.4741 0.5753
O 0.1394 0.4280 0.9679
O 0.1803 0.4694 0.2584
O 0.1917 0.0405 0.5888
O 0.4558 0.1476 0.2524
O 0.4693 0.1645 0.5282
O 0.4741 0.1260 0.6376
O 0.5024 0.1465 0.9197

Computed properties:
V (Å³ per cell): 1593.5
Total magnetic moment (μB/f.u.): 0.0
Formation enthalpy at 0 K (eV per atom): -2.87